Compound: LuNi2Ge2
Source: the Materials Project
Functional: r²SCAN
Structure: optimized geometry

Output
Energy of formation ... -0.666 eV per atom

abc: 3.9859 3.9859 5.5969
angles: 110.86 110.86 90.00
Closest atoms and distances in Å follow each position.
Positions (direct):
Lu1 0.0000 0.0000 0.0000  8 Ge 3.07, 8 Ni 3.13
Ni1 0.7500 0.2500 0.5000  4 Ge 2.32
Ni2 0.2500 0.7500 0.5000  4 Ge 2.32
Ge1 0.3729 0.3729 0.7458  4 Ni 2.32, 1 Ge 2.46
Ge2 0.6271 0.6271 0.2542  4 Ni 2.32, 1 Ge 2.46

Compound: NdU2S5
Source: the Materials Project
Functional: r²SCAN
Structure: optimized geometry

Output
Energy of formation ... -2.057 eV per atom

abc: 7.5034 8.0914 11.9029
angles: 90.00 90.00 90.00
Closest atoms and distances in Å follow each position.
Positions (direct):
U1 0.0194 0.0001 0.8223  8 S 2.85-3.09
U2 0.0725 0.7511 0.5091  7 S 2.65-2.89
U3 0.9806 0.5001 0.1777  8 S 2.85-3.09
U4 0.9275 0.2511 0.4909  7 S 2.65-2.89
U5 0.5725 0.2511 0.9909  7 S 2.65-2.89
U6 0.4275 0.7511 0.0091  7 S 2.65-2.89
U7 0.5194 0.5001 0.6777  8 S 2.85-3.09
U8 0.4806 0.0001 0.3223  8 S 2.85-3.09
S1 0.1981 0.7501 0.2848  3 U 2.83-2.96, 2 Nd 2.91-2.94
S2 0.8345 0.9564 0.4042  3 U 2.69-2.85, 1 Nd 2.92
S3 0.1585 0.0399 0.5993  3 U 2.65-2.87, 1 Nd 2.91
S4 0.6585 0.5399 0.9007  3 U 2.65-2.87, 1 Nd 2.91
S5 0.8415 0.5399 0.4007  3 U 2.65-2.87, 1 Nd 2.91
S6 0.6981 0.2501 0.2152  3 U 2.83-2.96, 2 Nd 2.91-2.94
S7 0.9576 0.2510 0.9996  3 U 2.89-2.96, 2 Nd 2.94-2.96, 1 S 3.22
S8 0.5424 0.2510 0.4996  3 U 2.89-2.96, 2 Nd 2.94-2.96, 1 S 3.22
S9 0.8019 0.2501 0.7152  3 U 2.83-2.96, 2 Nd 2.91-2.94
S10 0.3345 0.4564 0.0958  3 U 2.69-2.85, 1 Nd 2.92
S11 0.0424 0.7510 0.0004  3 U 2.89-2.96, 2 Nd 2.94-2.96, 1 S 3.22
S12 0.4576 0.7510 0.5004  3 U 2.89-2.96, 2 Nd 2.94-2.96, 1 S 3.22
S13 0.3019 0.7501 0.7848  3 U 2.83-2.96, 2 Nd 2.91-2.94
S14 0.1655 0.4564 0.5958  3 U 2.69-2.85, 1 Nd 2.92
S15 0.8296 0.7515 0.6866  3 U 2.79-3.09, 2 Nd 2.98-3.06
S16 0.3415 0.0399 0.0993  3 U 2.65-2.87, 1 Nd 2.91
S17 0.6655 0.9564 0.9042  3 U 2.69-2.85, 1 Nd 2.92
S18 0.6704 0.7515 0.1866  3 U 2.79-3.09, 2 Nd 2.98-3.06
S19 0.1704 0.2515 0.3134  3 U 2.79-3.09, 2 Nd 2.98-3.06
S20 0.3296 0.2515 0.8134  3 U 2.79-3.09, 2 Nd 2.98-3.06
Nd1 0.9766 0.0000 0.1775  8 S 2.91-3.06
Nd2 0.5234 0.0000 0.6775  8 S 2.91-3.06
Nd3 0.4766 0.5000 0.3225  8 S 2.91-3.06
Nd4 0.0234 0.5000 0.8225  8 S 2.91-3.06

- The highest energy of formation belongs to which entry?
  LuNi2Ge2